Entry 1:
Computed, not measured: a relaxed structure of Li3Pr at the PBE level of DFT.

Structure (extended XYZ):
```
16
Lattice="7.3572 0.0000 0.0000 0.0000 7.3572 0.0000 0.0000 0.0000 7.3572" Properties=species:S:1:pos:R:3 pbc="T T T"
Li 0.0000 0.0000 0.0000
Li 0.0000 3.6786 3.6786
Li 1.8393 1.8393 1.8393
Li 1.8393 1.8393 5.5179
Li 1.8393 5.5179 1.8393
Li 1.8393 5.5179 5.5179
Li 3.6786 0.0000 3.6786
Li 3.6786 3.6786 0.0000
Li 5.5179 1.8393 1.8393
Li 5.5179 1.8393 5.5179
Li 5.5179 5.5179 1.8393
Li 5.5179 5.5179 5.5179
Pr 0.0000 0.0000 3.6786
Pr 0.0000 3.6786 0.0000
Pr 3.6786 0.0000 0.0000
Pr 3.6786 3.6786 3.6786
```

Computed properties:
Crystal system ... cubic
Formation enthalpy at 0 K ... 0.8 eV per formula unit
M_tot ... 0.0 μB/f.u.



Entry 2:
Computed, not measured: a relaxed structure of LiPr3 at the PBE level of DFT.

Structure (extended XYZ):
```
4
Lattice="5.0696 0.0000 0.0000 0.0000 5.0696 0.0000 0.0000 0.0000 5.0696" Properties=species:S:1:pos:R:3 pbc="T T T"
Li 0.0000 0.0000 0.0000
Pr 0.0000 2.5348 2.5348
Pr 2.5348 0.0000 2.5348
Pr 2.5348 2.5348 0.0000
```

Computed properties:
Crystal system ... cubic
Formation enthalpy at 0 K ... 0.6 eV per formula unit
M_tot ... 0.0 μB/f.u.



Number 1: electronic total energy -2.4371 eV per atom. Number 2: electronic total energy -3.9212 eV per atom.